1.
Entry from the Materials Project database: an optimized crystal structure of NbRu (r²SCAN). Values from VASP.

Output
**Crystal system**: tetragonal
**Energy of formation from the pure elements**: -4.6 kcal/mol of atoms
**Space group**: No. 123

Structure (Quantum ESPRESSO input):
```
&SYSTEM
  ibrav = 0, nat = 2, ntyp = 2
/
ATOMIC_SPECIES
Ru 101.07 Ru.upf
Nb 92.91 Nb.upf
CELL_PARAMETERS angstrom
-2.8593 1.0659 0.1092
-1.0001 -2.5432 -1.3622
-0.4313 -1.4709 3.0628
ATOMIC_POSITIONS crystal
Ru 0.5000 0.5000 0.5000
Nb 0.0000 0.0000 0.0000
```



2.
Entry from the Materials Project database: an optimized crystal structure of CdFe2Sb2P6O24 (r²SCAN). Values from VASP.

Output
**Crystal system**: trigonal
**Energy of formation from the pure elements**: -48.7 kcal/mol of atoms
**Space group**: No. 148

Structure (Quantum ESPRESSO input):
```
&SYSTEM
  ibrav = 0, nat = 35, ntyp = 5
/
ATOMIC_SPECIES
O 16.00 O.upf
P 30.97 P.upf
Fe 55.84 Fe.upf
Sb 121.76 Sb.upf
Cd 112.41 Cd.upf
CELL_PARAMETERS angstrom
7.7348 -4.1625 0.0371
7.7348 4.1626 0.0371
5.4618 0.0000 6.8792
ATOMIC_POSITIONS crystal
O 0.5407 0.4863 0.1825
O 0.6109 0.0078 0.8046
O 0.7741 0.4741 0.8415
O 0.2483 0.1123 0.8880
O 0.4593 0.5137 0.8175
O 0.8046 0.6109 0.0078
O 0.2259 0.5259 0.1585
O 0.4863 0.1825 0.5407
O 0.8877 0.1120 0.7517
O 0.7517 0.8877 0.1120
O 0.8175 0.4593 0.5137
O 0.8880 0.2483 0.1123
O 0.1585 0.2259 0.5259
O 0.1123 0.8880 0.2483
O 0.8415 0.7741 0.4741
O 0.1954 0.3891 0.9922
O 0.9922 0.1954 0.3891
O 0.5137 0.8175 0.4593
O 0.5259 0.1585 0.2259
O 0.0078 0.8046 0.6109
O 0.3891 0.9922 0.1954
O 0.1120 0.7517 0.8877
O 0.1825 0.5407 0.4863
O 0.4741 0.8415 0.7741
P 0.4564 0.0379 0.7543
P 0.5436 0.9621 0.2457
P 0.0379 0.7543 0.4564
P 0.7543 0.4564 0.0379
P 0.2457 0.5436 0.9621
P 0.9621 0.2457 0.5436
Fe 0.1470 0.1470 0.1470
Fe 0.8530 0.8530 0.8530
Sb 0.6470 0.6470 0.6470
Sb 0.3530 0.3530 0.3530
Cd 0.0000 0.0000 0.0000
```



Q: What is the energy of formation from the pure elements in the first record?
A: -4.6 kcal/mol of atoms



Q: What is the formula in the first record?
A: NbRu



Q: Which of these has the highest energy of formation from the pure elements?
A: NbRu



Q: Look up the energy of formation from the pure elements of the first one.
A: -4.6 kcal/mol of atoms